This record from the Materials Project database describes crystalline Ba2La3Ti2Nb2O15 at its relaxed geometry. The functional is PBE.

Summary:
total energy: -8.465 eV per atom
symmetry: No. 165
E_form: -3.53 eV per atom
total energy after the MP2020 corrections: -8.895 eV per atom

a = 5.7224 Å, b = 5.7224 Å, c = 23.3806 Å
α = 90.00°, β = 90.00°, γ = 120.00°
Element x y z (fractional)
O1 0.5590 0.5590 0.7500
O2 0.3405 0.2046 0.0610
O3 0.4410 0.0000 0.7500
O4 0.7954 0.1359 0.0610
O5 0.2046 0.3405 0.4390
O6 0.8641 0.6595 0.0610
O7 0.2245 0.8981 0.1581
O8 0.7954 0.6595 0.5610
O9 0.8981 0.2245 0.3419
O10 0.4410 0.4410 0.2500
O11 0.5590 0.0000 0.2500
O12 0.1359 0.3405 0.9390
O13 0.1019 0.3264 0.1581
O14 0.8981 0.6736 0.8419
O15 0.3264 0.2245 0.8419
O16 0.6736 0.8981 0.6581
O17 0.8641 0.2046 0.5610
O18 0.3405 0.1359 0.5610
O19 0.0000 0.4410 0.7500
O20 0.3264 0.1019 0.3419
O21 0.7755 0.6736 0.3419
O22 0.2245 0.3264 0.6581
O23 0.6595 0.7954 0.9390
O24 0.1359 0.7954 0.4390
O25 0.6595 0.8641 0.4390
O26 0.0000 0.5590 0.2500
O27 0.7755 0.1019 0.8419
O28 0.1019 0.7755 0.6581
O29 0.6736 0.7755 0.1581
O30 0.2046 0.8641 0.9390
Nb1 0.0000 0.0000 0.9012
Nb2 0.0000 0.0000 0.4012
Nb3 0.0000 0.0000 0.5988
Nb4 0.0000 0.0000 0.0988
Ba1 0.6667 0.3333 0.4632
Ba2 0.3333 0.6667 0.5368
Ba3 0.6667 0.3333 0.9632
Ba4 0.3333 0.6667 0.0368
Ti1 0.3333 0.6667 0.2036
Ti2 0.6667 0.3333 0.7964
Ti3 0.6667 0.3333 0.2964
Ti4 0.3333 0.6667 0.7036
La1 0.6667 0.3333 0.6440
La2 0.3333 0.6667 0.3560
La3 0.6667 0.3333 0.1440
La4 0.0000 0.0000 0.2500
La5 0.0000 0.0000 0.7500
La6 0.3333 0.6667 0.8560


This record from the Materials Project database describes crystalline Ba2La3Ti3NbO15 at its relaxed geometry. The functional is PBE.

Summary:
total energy: -8.453 eV per atom
symmetry: No. 158
E_form: -3.61 eV per atom
total energy after the MP2020 corrections: -8.882 eV per atom

a = 5.6677 Å, b = 5.6677 Å, c = 23.4235 Å
α = 90.00°, β = 90.00°, γ = 120.00°
Element x y z (fractional)
O1 0.0009 0.4420 0.7517
O2 0.2180 0.8869 0.1593
O3 0.8938 0.2228 0.3417
O4 0.3343 0.1949 0.0624
O5 0.4412 0.9991 0.7517
O6 0.7772 0.1062 0.8417
O7 0.1131 0.3312 0.1593
O8 0.8606 0.1949 0.5624
O9 0.7772 0.6710 0.3417
O10 0.2028 0.8605 0.9384
O11 0.3343 0.1394 0.5624
O12 0.2028 0.3423 0.4384
O13 0.6577 0.7972 0.9384
O14 0.1131 0.7820 0.6593
O15 0.6688 0.7820 0.1593
O16 0.5580 0.5588 0.7517
O17 0.8051 0.1394 0.0624
O18 0.6577 0.8605 0.4384
O19 0.1395 0.3423 0.9384
O20 0.3290 0.1062 0.3417
O21 0.4412 0.4420 0.2517
O22 0.6688 0.8869 0.6593
O23 0.2180 0.3312 0.6593
O24 0.0009 0.5588 0.2517
O25 0.5580 0.9991 0.2517
O26 0.8606 0.6657 0.0624
O27 0.8938 0.6710 0.8417
O28 0.1395 0.7972 0.4384
O29 0.8051 0.6657 0.5624
O30 0.3290 0.2228 0.8417
Ti1 0.0000 0.0000 0.5964
Ti2 0.0000 0.0000 0.0964
Ti3 0.3333 0.6667 0.1984
Ti4 0.3333 0.6667 0.6984
Ti5 0.6667 0.3333 0.7968
Ti6 0.6667 0.3333 0.2968
Nb1 0.0000 0.0000 0.9025
Nb2 0.0000 0.0000 0.4025
La1 0.6667 0.3333 0.1393
La2 0.3333 0.6667 0.3534
La3 0.3333 0.6667 0.8534
La4 0.0000 0.0000 0.7481
La5 0.0000 0.0000 0.2481
La6 0.6667 0.3333 0.6393
Ba1 0.3333 0.6667 0.0386
Ba2 0.3333 0.6667 0.5386
Ba3 0.6667 0.3333 0.4659
Ba4 0.6667 0.3333 0.9659


This record from the Materials Project database describes crystalline BaLa2O4 at its relaxed geometry. The functional is PBE.

Summary:
total energy: -7.660 eV per atom
energy above the lowest structure with this stoichiometry: 41 meV per atom
symmetry: No. 63
E_form: -3.54 eV per atom
total energy after the MP2020 corrections: -8.053 eV per atom

a = 6.3160 Å, b = 6.3160 Å, c = 11.9285 Å
α = 90.00°, β = 90.00°, γ = 146.33°
Element x y z (fractional)
O1 0.7371 0.2629 0.6040
O2 0.7371 0.2629 0.8960
O3 0.0000 0.0000 0.5000
O4 0.2629 0.7371 0.1040
O5 0.5459 0.4541 0.2500
O6 0.4541 0.5459 0.7500
O7 0.2629 0.7371 0.3960
O8 0.0000 0.0000 0.0000
La1 0.3662 0.6338 0.5725
La2 0.3662 0.6338 0.9275
La3 0.6338 0.3662 0.0725
La4 0.6338 0.3662 0.4275
Ba1 0.8899 0.1101 0.2500
Ba2 0.1101 0.8899 0.7500


This record from the Materials Project database describes crystalline Ba2La2O5 at its relaxed geometry. The functional is PBE.

Summary:
total energy: -7.253 eV per atom
symmetry: No. 62
E_form: -3.36 eV per atom
total energy after the MP2020 corrections: -7.634 eV per atom

a = 6.6086 Å, b = 6.6768 Å, c = 17.4494 Å
α = 90.00°, β = 90.00°, γ = 90.00°
Element x y z (fractional)
La1 0.0000 0.0000 0.5000
La2 0.9492 0.9482 0.7500
La3 0.5000 0.5000 0.0000
La4 0.5508 0.4482 0.2500
La5 0.0508 0.0518 0.2500
La6 0.0000 0.0000 0.0000
La7 0.4492 0.5518 0.7500
La8 0.5000 0.5000 0.5000
O1 0.2119 0.7128 0.5233
O2 0.7119 0.7872 0.5233
O3 0.2881 0.2128 0.4767
O4 0.9480 0.9070 0.1397
O5 0.7881 0.2872 0.4767
O6 0.4480 0.5930 0.1397
O7 0.7119 0.7872 0.9767
O8 0.9046 0.3713 0.2500
O9 0.5520 0.4070 0.6397
O10 0.0954 0.6287 0.7500
O11 0.0520 0.0930 0.6397
O12 0.0520 0.0930 0.8603
O13 0.4046 0.1287 0.2500
O14 0.5954 0.8713 0.7500
O15 0.2119 0.7128 0.9767
O16 0.4480 0.5930 0.3603
O17 0.7881 0.2872 0.0233
O18 0.5520 0.4070 0.8603
O19 0.9480 0.9070 0.3603
O20 0.2881 0.2128 0.0233
Ba1 0.0344 0.5197 0.3898
Ba2 0.9656 0.4803 0.6102
Ba3 0.9656 0.4803 0.8898
Ba4 0.4656 0.0197 0.6102
Ba5 0.4656 0.0197 0.8898
Ba6 0.5344 0.9803 0.3898
Ba7 0.0344 0.5197 0.1102
Ba8 0.5344 0.9803 0.1102


This record from the Materials Project database describes crystalline BaLa2O4 at its relaxed geometry. The functional is PBE.

Summary:
total energy: -7.694 eV per atom
energy above the lowest structure with this stoichiometry: 8 meV per atom
symmetry: No. 62
E_form: -3.57 eV per atom
total energy after the MP2020 corrections: -8.086 eV per atom

a = 3.6998 Å, b = 10.7977 Å, c = 12.7046 Å
α = 90.00°, β = 90.00°, γ = 90.00°
Element x y z (fractional)
Ba1 0.7500 0.7496 0.1464
Ba2 0.2500 0.7504 0.6464
Ba3 0.7500 0.2496 0.3536
Ba4 0.2500 0.2504 0.8536
O1 0.2500 0.1238 0.4824
O2 0.7500 0.7875 0.8269
O3 0.2500 0.2125 0.1731
O4 0.7500 0.2875 0.6731
O5 0.2500 0.4292 0.4238
O6 0.7500 0.9860 0.2827
O7 0.7500 0.3762 0.9824
O8 0.7500 0.5708 0.5762
O9 0.2500 0.5140 0.7827
O10 0.2500 0.9292 0.0762
O11 0.2500 0.6238 0.0176
O12 0.7500 0.4860 0.2173
O13 0.2500 0.7125 0.3269
O14 0.7500 0.8762 0.5176
O15 0.2500 0.0140 0.7173
O16 0.7500 0.0708 0.9238
La1 0.2500 0.4193 0.6119
La2 0.7500 0.5754 0.8866
La3 0.2500 0.4246 0.1134
La4 0.2500 0.9193 0.8881
La5 0.2500 0.9246 0.3866
La6 0.7500 0.5807 0.3881
La7 0.7500 0.0807 0.1119
La8 0.7500 0.0754 0.6134


This record from the Materials Project database describes crystalline BaLa2O4 at its relaxed geometry. The functional is PBE.

Summary:
total energy: -7.648 eV per atom
energy above the lowest structure with this stoichiometry: 54 meV per atom
symmetry: No. 15
E_form: -3.53 eV per atom
total energy after the MP2020 corrections: -8.041 eV per atom

a = 6.4129 Å, b = 6.4129 Å, c = 23.5491 Å
α = 89.37°, β = 89.37°, γ = 61.14°
Element x y z (fractional)
Ba1 0.1102 0.8898 0.7500
Ba2 0.2274 0.4480 0.1507
Ba3 0.7726 0.5520 0.8493
Ba4 0.5520 0.7726 0.3493
Ba5 0.8898 0.1102 0.2500
Ba6 0.4480 0.2274 0.6507
La1 0.5571 0.7819 0.1941
La2 0.1166 0.8913 0.5735
La3 0.4458 0.2275 0.9496
La4 0.8913 0.1166 0.0735
La5 0.7819 0.5571 0.6941
La6 0.2275 0.4458 0.4496
La7 0.2181 0.4429 0.3059
La8 0.1087 0.8834 0.9265
La9 0.7725 0.5542 0.5504
La10 0.4429 0.2181 0.8059
La11 0.8834 0.1087 0.4265
La12 0.5542 0.7725 0.0504
O1 0.3030 0.1014 0.2529
O2 0.8509 0.2324 0.6242
O3 0.5289 0.1970 0.3789
O4 0.5108 0.4892 0.7500
O5 0.5000 0.5000 0.5000
O6 0.3801 0.9630 0.8755
O7 0.9630 0.3801 0.3755
O8 0.4711 0.8030 0.6211
O9 0.5000 0.5000 0.0000
O10 0.0789 0.2107 0.5032
O11 0.7893 0.9211 0.9968
O12 0.8030 0.4711 0.1211
O13 0.0370 0.6199 0.6245
O14 0.6970 0.8986 0.7471
O15 0.7676 0.1491 0.8758
O16 0.1014 0.3030 0.7529
O17 0.6199 0.0370 0.1245
O18 0.4892 0.5108 0.2500
O19 0.9211 0.7893 0.4968
O20 0.2107 0.0789 0.0032
O21 0.1970 0.5289 0.8789
O22 0.2324 0.8509 0.1242
O23 0.1491 0.7676 0.3758
O24 0.8986 0.6970 0.2471


This record from the Materials Project database describes crystalline BaLa2O4 at its relaxed geometry. The functional is PBE.

Summary:
total energy: -7.702 eV per atom
energy above the lowest structure with this stoichiometry: 0 meV per atom
symmetry: No. 227
E_form: -3.58 eV per atom
total energy after the MP2020 corrections: -8.094 eV per atom

a = 7.4576 Å, b = 7.4576 Å, c = 7.4576 Å
α = 60.00°, β = 60.00°, γ = 60.00°
Element x y z (fractional)
La1 0.1250 0.6250 0.1250
La2 0.1250 0.1250 0.1250
La3 0.1250 0.1250 0.6250
La4 0.6250 0.1250 0.1250
O1 0.8934 0.3197 0.8934
O2 0.3197 0.8934 0.8934
O3 0.8934 0.8934 0.8934
O4 0.3566 0.3566 0.9303
O5 0.3566 0.3566 0.3566
O6 0.3566 0.9303 0.3566
O7 0.9303 0.3566 0.3566
O8 0.8934 0.8934 0.3197
Ba1 0.7500 0.7500 0.7500
Ba2 0.5000 0.5000 0.5000


This record from the Materials Project database describes crystalline Ba2LaPaO6 at its relaxed geometry. The functional is PBE.

Summary:
total energy: -8.040 eV per atom
symmetry: No. 225
E_form: -3.65 eV per atom
total energy after the MP2020 corrections: -8.452 eV per atom

a = 6.4328 Å, b = 6.4328 Å, c = 6.4328 Å
α = 60.00°, β = 60.00°, γ = 60.00°
Element x y z (fractional)
Pa1 0.0000 0.0000 0.0000
Ba1 0.7500 0.7500 0.7500
Ba2 0.2500 0.2500 0.2500
O1 0.2397 0.2397 0.7603
O2 0.7603 0.7603 0.2397
O3 0.7603 0.2397 0.7603
O4 0.2397 0.7603 0.2397
O5 0.7603 0.2397 0.2397
O6 0.2397 0.7603 0.7603
La1 0.5000 0.5000 0.5000


This record from the Materials Project database describes crystalline BaLa2PtO5 at its relaxed geometry. The functional is PBE.

Summary:
total energy: -7.383 eV per atom
symmetry: No. 127
E_form: -3.03 eV per atom
total energy after the MP2020 corrections: -7.764 eV per atom

a = 6.9467 Å, b = 6.9467 Å, c = 6.0032 Å
α = 90.00°, β = 90.00°, γ = 90.00°
Element x y z (fractional)
O1 0.1411 0.6411 0.2482
O2 0.6411 0.8589 0.7518
O3 0.8589 0.3589 0.2482
O4 0.1411 0.6411 0.7518
O5 0.3589 0.1411 0.2482
O6 0.8589 0.3589 0.7518
O7 0.6411 0.8589 0.2482
O8 0.0000 0.0000 0.5000
O9 0.5000 0.5000 0.5000
O10 0.3589 0.1411 0.7518
Pt1 0.0000 0.5000 0.0000
Pt2 0.5000 0.0000 0.0000
La1 0.3232 0.8232 0.5000
La2 0.6768 0.1768 0.5000
La3 0.8232 0.6768 0.5000
La4 0.1768 0.3232 0.5000
Ba1 0.0000 0.0000 0.0000
Ba2 0.5000 0.5000 0.0000


This record from the Materials Project database describes crystalline Ba2LaPuO6 at its relaxed geometry. The functional is PBE.

Summary:
total energy: -8.261 eV per atom
symmetry: No. 225
E_form: -3.40 eV per atom
total energy after the MP2020 corrections: -8.673 eV per atom

a = 6.3506 Å, b = 6.3506 Å, c = 6.3506 Å
α = 60.00°, β = 60.00°, γ = 60.00°
Element x y z (fractional)
O1 0.2376 0.2376 0.7624
O2 0.2376 0.7624 0.7624
O3 0.7624 0.7624 0.2376
O4 0.7624 0.2376 0.7624
O5 0.2376 0.7624 0.2376
O6 0.7624 0.2376 0.2376
Ba1 0.7500 0.7500 0.7500
Ba2 0.2500 0.2500 0.2500
Pu1 0.0000 0.0000 0.0000
La1 0.5000 0.5000 0.5000


This record from the Materials Project database describes crystalline Ba2LaRuO6 at its relaxed geometry. The functional is PBE.

Summary:
total energy: -7.140 eV per atom
symmetry: No. 12
E_form: -2.78 eV per atom
total energy after the MP2020 corrections: -7.553 eV per atom

a = 6.0916 Å, b = 6.0916 Å, c = 6.1513 Å
α = 60.02°, β = 60.02°, γ = 59.90°
Element x y z (fractional)
O1 0.7018 0.2477 0.7947
O2 0.7523 0.2982 0.2053
O3 0.7273 0.7273 0.7217
O4 0.2477 0.7018 0.7947
O5 0.2982 0.7523 0.2053
O6 0.2727 0.2727 0.2783
Ru1 0.5000 0.5000 0.0000
La1 0.0000 0.0000 0.5000
Ba1 0.7512 0.7512 0.2456
Ba2 0.2488 0.2488 0.7544


This record from the Materials Project database describes crystalline Ba2LaRuO6 at its relaxed geometry. The functional is PBE.

Summary:
total energy: -7.142 eV per atom
symmetry: No. 148
E_form: -2.78 eV per atom
total energy after the MP2020 corrections: -7.554 eV per atom

a = 6.0811 Å, b = 6.0811 Å, c = 6.0811 Å
α = 60.65°, β = 60.65°, γ = 60.65°
Element x y z (fractional)
Ru1 0.5000 0.5000 0.5000
O1 0.7249 0.2280 0.3155
O2 0.2751 0.7720 0.6845
O3 0.7720 0.6845 0.2751
O4 0.3155 0.7249 0.2280
O5 0.2280 0.3155 0.7249
O6 0.6845 0.2751 0.7720
Ba1 0.2520 0.2520 0.2520
Ba2 0.7480 0.7480 0.7480
La1 0.0000 0.0000 0.0000


This record from the Materials Project database describes crystalline Ba4La2SbRuO12 at its relaxed geometry. The functional is PBE.

Summary:
total energy: -7.010 eV per atom
symmetry: No. 2
E_form: -2.91 eV per atom
total energy after the MP2020 corrections: -7.422 eV per atom

a = 6.1143 Å, b = 6.1369 Å, c = 10.6168 Å
α = 90.42°, β = 106.48°, γ = 119.49°
Element x y z (fractional)
O1 0.1851 0.5936 0.8623
O2 0.8149 0.4064 0.1377
O3 0.2308 0.8632 0.0980
O4 0.2279 0.3575 0.5976
O5 0.2722 0.4225 0.1112
O6 0.1879 0.0953 0.3667
O7 0.7721 0.6425 0.4024
O8 0.7278 0.5775 0.8888
O9 0.8121 0.9047 0.6333
O10 0.7331 0.0786 0.3906
O11 0.7692 0.1368 0.9020
O12 0.2669 0.9214 0.6094
La1 0.5002 0.2499 0.2505
La2 0.4998 0.7501 0.7495
Ba1 0.7539 0.8724 0.1291
Ba2 0.2514 0.6298 0.3790
Ba3 0.2461 0.1276 0.8709
Ba4 0.7486 0.3702 0.6210
Sb1 0.0000 0.5000 0.0000
Ru1 0.0000 0.0000 0.5000


This record from the Materials Project database describes crystalline Ba2LaSbO6 at its relaxed geometry. The functional is PBE.

Summary:
total energy: -6.879 eV per atom
symmetry: No. 148
E_form: -3.03 eV per atom
total energy after the MP2020 corrections: -7.291 eV per atom

a = 6.1508 Å, b = 6.1508 Å, c = 6.1508 Å
α = 60.41°, β = 60.41°, γ = 60.41°
Element x y z (fractional)
O1 0.3117 0.2278 0.7275
O2 0.2278 0.7275 0.3117
O3 0.7722 0.2725 0.6883
O4 0.7275 0.3117 0.2278
O5 0.6883 0.7722 0.2725
O6 0.2725 0.6883 0.7722
La1 0.0000 0.0000 0.0000
Sb1 0.5000 0.5000 0.5000
Ba1 0.2515 0.2515 0.2515
Ba2 0.7485 0.7485 0.7485